[1]
Density functional theory data (PBE-GGA) for crystalline Pm2PdRh at its relaxed geometry.

Final energy (eV per cell): -100.1

a = 7.125 Å, b = 7.125 Å, c = 7.125 Å
α = 90.00°, β = 90.00°, γ = 90.00°
Space group Fm-3m (No. 225)
Symmetry-distinct sites (fractional):
Pm1 0.250 0.250 0.250
Pd1 0.000 0.000 0.000
Rh1 0.000 0.000 0.500

[2]
Density functional theory data (PBE-GGA) for crystalline Pm2PdRu at its relaxed geometry.

Final energy (eV per cell): -103.5

a = 7.091 Å, b = 7.091 Å, c = 7.091 Å
α = 90.00°, β = 90.00°, γ = 90.00°
Space group Fm-3m (No. 225)
Symmetry-distinct sites (fractional):
Pm1 0.250 0.250 0.250
Pd1 0.000 0.000 0.000
Ru1 0.000 0.000 0.500

[3]
Density functional theory data (PBE-GGA) for crystalline PmSbPd2 at its relaxed geometry.

Final energy (eV per cell): -90.1

a = 6.921 Å, b = 6.921 Å, c = 6.921 Å
α = 90.00°, β = 90.00°, γ = 90.00°
Space group Fm-3m (No. 225)
Symmetry-distinct sites (fractional):
Pm1 0.000 0.000 0.000
Sb1 0.000 0.000 0.500
Pd1 0.250 0.250 0.250

[4]
Density functional theory data (PBE-GGA) for crystalline Pm2SnPd at its relaxed geometry.

Final energy (eV per cell): -86.0

a = 7.496 Å, b = 7.496 Å, c = 7.496 Å
α = 90.00°, β = 90.00°, γ = 90.00°
Space group Fm-3m (No. 225)
Symmetry-distinct sites (fractional):
Pm1 0.250 0.250 0.250
Sn1 0.000 0.000 0.000
Pd1 0.000 0.000 0.500

[5]
Density functional theory data (PBE-GGA) for crystalline PmSnPd2 at its relaxed geometry.

Final energy (eV per cell): -89.4

a = 6.916 Å, b = 6.916 Å, c = 6.916 Å
α = 90.00°, β = 90.00°, γ = 90.00°
Space group Fm-3m (No. 225)
Symmetry-distinct sites (fractional):
Pm1 0.000 0.000 0.000
Sn1 0.000 0.000 0.500
Pd1 0.250 0.250 0.250

[6]
Density functional theory data (PBE-GGA) for crystalline PrPd3 at its relaxed geometry.

Final energy (eV per cell): -23.4

a = 4.228 Å, b = 4.228 Å, c = 4.228 Å
α = 90.00°, β = 90.00°, γ = 90.00°
Space group Pm-3m (No. 221)
Symmetry-distinct sites (fractional):
Pr1 0.000 0.000 0.000
Pd1 0.000 0.500 0.500

[7]
Density functional theory data (PBE-GGA) for crystalline PrPd2 at its relaxed geometry.

Final energy (eV per cell): -33.4
Magnetization (μB per cell): 0.00

a = 3.974 Å, b = 3.974 Å, c = 8.951 Å
α = 90.00°, β = 90.00°, γ = 90.00°
Space group I4/mmm (No. 139)
Symmetry-distinct sites (fractional):
Pr1 0.000 0.000 0.000
Pd1 0.000 0.500 0.250

[8]
Density functional theory data (PBE-GGA) for crystalline PrPd5 at its relaxed geometry.

Final energy (eV per cell): -67.0
Magnetization (μB per cell): 0.00

a = 5.1046 Å, b = 5.1046 Å, c = 9.4306 Å
α = 90.00°, β = 90.00°, γ = 120.00°
Space group P321 (No. 150)
Symmetry-distinct sites (fractional):
Pr1 0.3333 0.6667 0.2503
Pd1 0.0000 0.0000 0.2502
Pd2 0.0000 0.3213 0.5000
Pd3 0.0000 0.6778 0.0000
Pd4 0.3333 0.6667 0.7499

[9]
Density functional theory data (PBE-GGA) for crystalline Pr7Pd3 at its relaxed geometry.

Final energy (eV per cell): -215.3
Magnetization (μB per cell): 0.00

a = 10.263 Å, b = 17.892 Å, c = 6.545 Å
α = 90.00°, β = 90.00°, γ = 90.00°
Space group Cmc2_1 (No. 36)
Symmetry-distinct sites (fractional):
Pr1 0.000 0.038 0.000
Pr2 0.000 0.167 0.493
Pr3 0.000 0.374 0.701
Pr4 0.190 0.437 0.200
Pr5 0.193 0.231 0.999
Pd1 0.000 0.311 0.254
Pd2 0.217 0.094 0.254

[10]
Density functional theory data (PBE-GGA) for crystalline Pr3Pd at its relaxed geometry.

Final energy (eV per cell): -40.0
Magnetization (μB per cell): 0.02

a = 4.602 Å, b = 4.602 Å, c = 10.927 Å
α = 90.00°, β = 90.00°, γ = 90.00°
Space group I4/mmm (No. 139)
Symmetry-distinct sites (fractional):
Pr1 0.000 0.000 0.000
Pr2 0.000 0.500 0.250
Pd1 0.000 0.000 0.500

[11]
Density functional theory data (PBE-GGA) for crystalline PrSb2Pd at its relaxed geometry.

Energy above the most stable polymorph in this dataset (meV per atom): 0

a = 4.511 Å, b = 4.511 Å, c = 10.008 Å
α = 90.00°, β = 90.00°, γ = 90.00°
Space group P4/nmm (No. 129, origin choice 2)
Symmetry-distinct sites (fractional):
Pr1 0.250 0.250 0.247
Sb1 0.250 0.250 0.848
Sb2 0.250 0.750 0.500
Pd1 0.250 0.750 0.000

[12]
Density functional theory data (PBE-GGA) for crystalline PrSbPd at its relaxed geometry.

Final energy (eV per cell): -31.3
Magnetization (μB per cell): 0.00

a = 4.9967 Å, b = 4.9967 Å, c = 7.0647 Å
α = 90.00°, β = 90.00°, γ = 120.00°
Space group P-3m1 (No. 164)
Symmetry-distinct sites (fractional):
Pr1 0.0000 0.0000 0.2275
Sb1 0.3333 0.6667 0.4605
Pd1 0.3333 0.6667 0.0487

[13]
Density functional theory data (PBE-GGA) for crystalline PrSb2Pd at its relaxed geometry.

Energy above the most stable polymorph in this dataset (meV per atom): 381
Magnetization (μB per cell): 0.00

a = 5.821 Å, b = 5.821 Å, c = 6.230 Å
α = 90.00°, β = 90.00°, γ = 90.00°
Space group P4/nmm (No. 129, origin choice 2)
Symmetry-distinct sites (fractional):
Pr1 0.250 0.250 0.162
Sb1 0.250 0.250 0.652
Sb2 0.250 0.750 0.000
Pd1 0.250 0.750 0.500

[14]
Density functional theory data (PBE-GGA) for crystalline PrSbPd at its relaxed geometry.

Final energy (eV per cell): -34.6

a = 4.6279 Å, b = 4.6279 Å, c = 8.1178 Å
α = 90.00°, β = 90.00°, γ = 120.00°
Space group P6_3/mmc (No. 194)
Symmetry-distinct sites (fractional):
Pr1 0.0000 0.0000 0.0000
Sb1 0.3333 0.6667 0.2500
Pd1 0.3333 0.6667 0.7500

[15]
Density functional theory data (PBE-GGA) for crystalline PrSbPd at its relaxed geometry.

Final energy (eV per cell): -34.6

a = 4.6503 Å, b = 4.6503 Å, c = 7.9434 Å
α = 90.00°, β = 90.00°, γ = 120.00°
Space group P6_3mc (No. 186)
Symmetry-distinct sites (fractional):
Pr1 0.0000 0.0000 0.0000
Sb1 0.3333 0.6667 0.2325
Pd1 0.3333 0.6667 0.8018

[16]
Density functional theory data (PBE-GGA) for crystalline Pr3Sb5Pd6 at its relaxed geometry.

Final energy (eV per cell): -157.0

a = 4.510 Å, b = 13.636 Å, c = 10.159 Å
α = 90.00°, β = 90.00°, γ = 90.00°
Space group Pmmn (No. 59, origin choice 2)
Symmetry-distinct sites (fractional):
Pr1 0.250 0.074 0.246
Pr2 0.250 0.750 0.243
Sb1 0.250 0.087 0.863
Sb2 0.250 0.623 0.523
Sb3 0.250 0.750 0.830
Pd1 0.250 0.068 0.603
Pd2 0.250 0.250 0.018
Pd3 0.250 0.250 0.475
Pd4 0.250 0.590 0.991

[17]
Density functional theory data (PBE-GGA) for crystalline PrSiPd2 at its relaxed geometry.

Final energy (eV per cell): -96.6

a = 7.629 Å, b = 6.976 Å, c = 5.748 Å
α = 90.00°, β = 90.00°, γ = 90.00°
Space group Pnma (No. 62)
Symmetry-distinct sites (fractional):
Pr1 0.030 0.250 0.146
Si1 0.126 0.750 0.352
Pd1 0.174 0.053 0.593

[18]
Density functional theory data (PBE-GGA) for crystalline PrZnPd at its relaxed geometry.

Final energy (eV per cell): -39.8

a = 7.4911 Å, b = 7.4911 Å, c = 4.0236 Å
α = 90.00°, β = 90.00°, γ = 120.00°
Space group P-62m (No. 189)
Symmetry-distinct sites (fractional):
Pr1 0.0000 0.5919 0.0000
Zn1 0.0000 0.2421 0.5000
Pd1 0.0000 0.0000 0.0000
Pd2 0.3333 0.6667 0.5000

[19]
Density functional theory data (PBE-GGA) for crystalline PdPt3 at its relaxed geometry.

Final energy (eV per cell): -46.9

a = 3.973 Å, b = 3.973 Å, c = 7.938 Å
α = 90.00°, β = 90.00°, γ = 90.00°
Space group I4/mmm (No. 139)
Symmetry-distinct sites (fractional):
Pd1 0.000 0.000 0.000
Pt1 0.000 0.000 0.500
Pt2 0.000 0.500 0.250

[20]
Density functional theory data (PBE-GGA) for crystalline Sc2PdPt at its relaxed geometry.

Final energy (eV per cell): -113.1

a = 6.616 Å, b = 6.616 Å, c = 6.616 Å
α = 90.00°, β = 90.00°, γ = 90.00°
Space group Fm-3m (No. 225)
Symmetry-distinct sites (fractional):
Sc1 0.250 0.250 0.250
Pd1 0.000 0.000 0.000
Pt1 0.000 0.000 0.500